An optimized crystal structure of LiMnSbO4. Source: the Materials Project, functional GGA+U.

The energy above the most stable polymorph in this dataset is 2.32 kJ/mol of atoms. The value obtained for the energy of formation is -2.08 eV per atom. For the total energy, the calculation gives -45.1 eV per formula unit.

The structure in extended XYZ format:
```
28
Lattice="-2.1910 -3.3809 4.7691 -5.2868 3.3740 -0.0370 -3.6888 -5.8441 -5.8376" Properties=species:S:1:pos:R:3 pbc="T T T"
O -4.8263 -1.3653 0.9011
Mn -7.4277 -5.8475 -3.4714
O -7.3600 -2.7792 0.8769
O -6.0438 1.8138 -1.4907
O -3.8066 -3.0717 -1.9824
Li -7.2650 -2.6523 -1.1317
Sb -4.6361 -4.3847 -3.1952
Li -7.2939 -2.7433 -5.2956
O -7.1449 0.1144 0.8849
Mn -4.0354 -6.3028 1.8503
Sb -5.4350 0.2242 -0.2948
O -3.7252 0.3341 -1.4746
O -5.7010 -0.1532 3.3025
Li -1.6817 0.2732 -0.5789
O -4.6587 1.4552 1.0336
O -2.9318 -4.2839 -4.3838
O -6.2114 -1.0068 -1.6233
Mn -1.0955 -1.6904 2.3845
Li -3.9016 -3.1987 0.0262
O -6.5079 -7.3062 -2.1391
O -5.2504 -2.8041 -4.4000
O -4.0217 -5.9654 -1.9903
O -4.9552 -4.8442 0.5178
Mn -6.6788 -4.6158 1.8318
Sb -5.7315 -6.0752 -0.8106
Sb -6.5305 -1.4662 2.0897
O -5.4656 -5.6977 -4.4079
O -6.3403 -4.4857 -2.0065
```